Entry 1:
Here is a relaxed structure of Ta4SiTe4 from Materials Project. Energies are from PBE.

a b c (Å): 4.8355 11.1576 19.2808
angles (deg): 90.00 90.00 90.00
Closest atoms and distances in Å follow each position.
Sites, in units of the cell vectors:
Ta (0.0000, 0.5962, 0.6059)  2 Si 2.60, 2 Te 2.86
Ta (0.0000, 0.4038, 0.3941)  2 Si 2.60, 2 Te 2.86
Ta (0.0000, 0.0962, 0.8941)  2 Si 2.60, 2 Te 2.86
Ta (0.0000, 0.9038, 0.1059)  2 Si 2.60, 2 Te 2.86
Ta (0.0000, 0.3165, 0.5557)  2 Si 2.61, 2 Te 2.86
Ta (0.0000, 0.6835, 0.4443)  2 Si 2.61, 2 Te 2.86
Ta (0.0000, 0.8165, 0.9443)  2 Si 2.61, 2 Te 2.86
Ta (0.0000, 0.1835, 0.0557)  2 Si 2.61, 2 Te 2.86
Ta (0.5000, 0.3022, 0.4644)  2 Si 2.61, 2 Te 2.86-2.87
Ta (0.5000, 0.6978, 0.5356)  2 Si 2.61, 2 Te 2.86-2.87
Ta (0.5000, 0.8022, 0.0356)  2 Si 2.61, 2 Te 2.86-2.87
Ta (0.5000, 0.1978, 0.9644)  2 Si 2.61, 2 Te 2.86-2.87
Ta (0.5000, 0.4382, 0.6142)  2 Si 2.60, 2 Te 2.86
Ta (0.5000, 0.5618, 0.3858)  2 Si 2.60, 2 Te 2.86
Ta (0.5000, 0.9382, 0.8858)  2 Si 2.60, 2 Te 2.86
Ta (0.5000, 0.0618, 0.1142)  2 Si 2.60, 2 Te 2.86
Si (0.2500, 0.5000, 0.5000)  2 Si 2.42, 8 Ta 2.60-2.61
Si (0.7500, 0.0000, 0.0000)  2 Si 2.42, 8 Ta 2.60-2.61
Si (0.7500, 0.5000, 0.5000)  2 Si 2.42, 8 Ta 2.60-2.61
Si (0.2500, 0.0000, 0.0000)  2 Si 2.42, 8 Ta 2.60-2.61
Te (0.0000, 0.3939, 0.6971)  4 Ta 2.86-2.94
Te (0.0000, 0.6061, 0.3029)  4 Ta 2.86-2.94
Te (0.0000, 0.8939, 0.8029)  4 Ta 2.86-2.94
Te (0.0000, 0.1061, 0.1971)  4 Ta 2.86-2.94
Te (0.5000, 0.1835, 0.5962)  4 Ta 2.86-2.94
Te (0.5000, 0.8165, 0.4038)  4 Ta 2.86-2.94
Te (0.5000, 0.6835, 0.9038)  4 Ta 2.86-2.94
Te (0.5000, 0.3165, 0.0962)  4 Ta 2.86-2.94
Te (0.5000, 0.6654, 0.6827)  4 Ta 2.86-2.94
Te (0.5000, 0.3346, 0.3173)  4 Ta 2.86-2.94
Te (0.5000, 0.1654, 0.8173)  4 Ta 2.86-2.94
Te (0.5000, 0.8346, 0.1827)  4 Ta 2.86-2.94
Te (0.0000, 0.3412, 0.9384)  4 Ta 2.86-2.94
Te (0.0000, 0.6588, 0.0616)  4 Ta 2.86-2.94
Te (0.0000, 0.8412, 0.5616)  4 Ta 2.86-2.94
Te (0.0000, 0.1588, 0.4384)  4 Ta 2.86-2.94

***

Entry 2:
Here is a relaxed structure of BaCu3O4 from Materials Project. Energies are from PBE.

a b c (Å): 6.1796 6.1796 5.3235
angles (deg): 90.00 90.00 125.62
Closest atoms and distances in Å follow each position.
Sites, in units of the cell vectors:
Ba (0.0000, 0.0000, 0.0000)  2 Cu 2.66
Cu (0.7337, 0.2663, 0.5000)  4 O 1.91-1.93
Cu (0.2663, 0.7337, 0.5000)  4 O 1.91-1.93
Cu (0.0000, 0.0000, 0.5000)  4 O 1.94
O (0.9095, 0.6420, 0.5000)  3 Cu 1.91-1.94
O (0.0905, 0.3580, 0.5000)  3 Cu 1.91-1.94
O (0.6420, 0.9095, 0.5000)  3 Cu 1.91-1.94
O (0.3580, 0.0905, 0.5000)  3 Cu 1.91-1.94

Results
Spin magnetization: 0.00 μB per cell
Polymorph energy (0 for the lowest one): 8.442 kcal/mol of atoms

***

Entry 3:
Here is a relaxed structure of YBe13 from Materials Project. Energies are from PBE.

a b c (Å): 7.2018 7.2018 7.2018
angles (deg): 60.00 60.00 60.00
Closest atoms and distances in Å follow each position.
Sites, in units of the cell vectors:
Y (0.2500, 0.2500, 0.2500)  24 Be 2.99
Y (0.7500, 0.7500, 0.7500)  24 Be 2.99
Be (0.5000, 0.5000, 0.5000)  12 Be 2.14
Be (0.0000, 0.0000, 0.0000)  12 Be 2.14
Be (0.7905, 0.5630, 0.2095)  10 Be 2.14-2.32
Be (0.2095, 0.4370, 0.7905)  10 Be 2.14-2.32
Be (0.5630, 0.7905, 0.4370)  10 Be 2.14-2.32
Be (0.4370, 0.2095, 0.5630)  10 Be 2.14-2.32
Be (0.2905, 0.9370, 0.7095)  10 Be 2.14-2.32
Be (0.7095, 0.0630, 0.2905)  10 Be 2.14-2.32
Be (0.9370, 0.2905, 0.0630)  10 Be 2.14-2.32
Be (0.0630, 0.7095, 0.9370)  10 Be 2.14-2.32
Be (0.2095, 0.7905, 0.5630)  10 Be 2.14-2.32
Be (0.7905, 0.2095, 0.4370)  10 Be 2.14-2.32
Be (0.4370, 0.5630, 0.7905)  10 Be 2.14-2.32
Be (0.5630, 0.4370, 0.2095)  10 Be 2.14-2.32
Be (0.7095, 0.2905, 0.9370)  10 Be 2.14-2.32
Be (0.2905, 0.7095, 0.0630)  10 Be 2.14-2.32
Be (0.0630, 0.9370, 0.2905)  10 Be 2.14-2.32
Be (0.9370, 0.0630, 0.7095)  10 Be 2.14-2.32
Be (0.5630, 0.2095, 0.7905)  10 Be 2.14-2.32
Be (0.4370, 0.7905, 0.2095)  10 Be 2.14-2.32
Be (0.7905, 0.4370, 0.5630)  10 Be 2.14-2.32
Be (0.2095, 0.5630, 0.4370)  10 Be 2.14-2.32
Be (0.9370, 0.7095, 0.2905)  10 Be 2.14-2.32
Be (0.0630, 0.2905, 0.7095)  10 Be 2.14-2.32
Be (0.2905, 0.0630, 0.9370)  10 Be 2.14-2.32
Be (0.7095, 0.9370, 0.0630)  10 Be 2.14-2.32

***

Entry 4:
Here is a relaxed structure of SrGa2Te4 from Materials Project. Energies are from PBE.

a b c (Å): 6.8267 6.8267 11.9083
angles (deg): 90.00 90.00 120.21
Closest atoms and distances in Å follow each position.
Sites, in units of the cell vectors:
Sr (0.5000, 0.5000, 0.2500)  8 Te 3.49-3.53
Sr (0.5000, 0.5000, 0.7500)  8 Te 3.49-3.53
Ga (0.2416, 0.7613, 0.5000)  4 Te 2.66-2.69
Ga (0.7584, 0.2387, 0.5000)  4 Te 2.66-2.69
Ga (0.2387, 0.7584, 0.0000)  4 Te 2.66-2.69
Ga (0.7613, 0.2416, 0.0000)  4 Te 2.66-2.69
Te (0.6564, 0.8097, 0.0000)  2 Ga 2.66-2.69
Te (0.3436, 0.1903, 0.0000)  2 Ga 2.66-2.69
Te (0.8097, 0.6564, 0.5000)  2 Ga 2.66-2.69
Te (0.1903, 0.3436, 0.5000)  2 Ga 2.66-2.69
Te (0.5000, 0.0000, 0.6737)  2 Ga 2.67
Te (0.0000, 0.5000, 0.8263)  2 Ga 2.67
Te (0.5000, 0.0000, 0.3263)  2 Ga 2.67
Te (0.0000, 0.5000, 0.1737)  2 Ga 2.67

***

Number 1: ΔH_f (0 K) -0.7109 eV/atom. Number 2: ΔH_f (0 K) -1.0906 eV/atom. Number 3: ΔH_f (0 K) -0.1872 eV/atom. Number 4: ΔH_f (0 K) -0.9877 eV/atom.